1.
# HfCo2Si2 PBE-GGA optimized geometry
# - Calculated total energy: -7.77 eV per atom
# - Volume: 66.9 Å³ per cell
# - Calculated formation energy: -0.74 eV per atom
data_HfCo2Si2
_cell_length_a 5.475
_cell_length_b 5.475
_cell_length_c 5.475
_cell_angle_alpha 140.11
_cell_angle_beta 140.11
_cell_angle_gamma 57.69
_symmetry_space_group_name_H-M 'P 1'
_symmetry_Int_Tables_number 1
loop_
_symmetry_equiv_pos_as_xyz
'x,y,z'
loop_
_atom_site_label
_atom_site_fract_x
_atom_site_fract_y
_atom_site_fract_z
Hf1 0.000 0.000 0.000
Co1 0.750 0.250 0.500
Co2 0.250 0.750 0.500
Si1 0.379 0.379 0.000
Si2 0.621 0.621 0.000

2.
# Hf3Co2Si3 PBE-GGA optimized geometry
# - Calculated total energy: -8.39 eV per atom
# - Volume: 242.3 Å³ per cell
# - Calculated formation energy: -0.82 eV per atom
data_Hf3Co2Si3
_cell_length_a 3.835
_cell_length_b 5.312
_cell_length_c 12.752
_cell_angle_alpha 90.00
_cell_angle_beta 90.00
_cell_angle_gamma 111.16
_symmetry_space_group_name_H-M 'P 1'
_symmetry_Int_Tables_number 1
loop_
_symmetry_equiv_pos_as_xyz
'x,y,z'
loop_
_atom_site_label
_atom_site_fract_x
_atom_site_fract_y
_atom_site_fract_z
Hf1 0.075 0.150 0.383
Hf2 0.925 0.850 0.617
Hf3 0.075 0.150 0.117
Hf4 0.925 0.850 0.883
Hf5 0.365 0.730 0.250
Hf6 0.635 0.270 0.750
Co1 0.218 0.436 0.917
Co2 0.782 0.564 0.083
Co3 0.218 0.436 0.583
Co4 0.782 0.564 0.417
Si1 0.389 0.778 0.459
Si2 0.611 0.222 0.541
Si3 0.389 0.778 0.041
Si4 0.611 0.222 0.959
Si5 0.665 0.330 0.250
Si6 0.335 0.670 0.750

3.
# Hf2CoTc PBE-GGA optimized geometry
# - Calculated total energy: -9.84 eV per atom
# - Volume: 66.3 Å³ per cell
# - Calculated formation energy: -0.50 eV per atom
data_Hf2CoTc
_cell_length_a 4.543
_cell_length_b 4.543
_cell_length_c 4.543
_cell_angle_alpha 60.00
_cell_angle_beta 60.00
_cell_angle_gamma 60.00
_symmetry_space_group_name_H-M 'P 1'
_symmetry_Int_Tables_number 1
loop_
_symmetry_equiv_pos_as_xyz
'x,y,z'
loop_
_atom_site_label
_atom_site_fract_x
_atom_site_fract_y
_atom_site_fract_z
Hf1 0.750 0.750 0.750
Hf2 0.250 0.250 0.250
Co1 0.000 0.000 0.000
Tc1 0.500 0.500 0.500

4.
# HfZnCo2 PBE-GGA optimized geometry
# - Calculated total energy: -6.69 eV per atom
# - Volume: 54.4 Å³ per cell
# - Calculated formation energy: -0.33 eV per atom
data_HfZnCo2
_cell_length_a 4.253
_cell_length_b 4.253
_cell_length_c 4.253
_cell_angle_alpha 60.00
_cell_angle_beta 60.00
_cell_angle_gamma 60.00
_symmetry_space_group_name_H-M 'P 1'
_symmetry_Int_Tables_number 1
loop_
_symmetry_equiv_pos_as_xyz
'x,y,z'
loop_
_atom_site_label
_atom_site_fract_x
_atom_site_fract_y
_atom_site_fract_z
Hf1 0.500 0.500 0.500
Zn1 0.000 0.000 0.000
Co1 0.250 0.250 0.250
Co2 0.750 0.750 0.750

5.
# HfZrCo2 PBE-GGA optimized geometry
# - Calculated total energy: -8.52 eV per atom
# - Volume: 63.3 Å³ per cell
# - Calculated formation energy: -0.34 eV per atom
data_HfZrCo2
_cell_length_a 4.473
_cell_length_b 4.473
_cell_length_c 4.473
_cell_angle_alpha 60.00
_cell_angle_beta 60.00
_cell_angle_gamma 60.00
_symmetry_space_group_name_H-M 'P 1'
_symmetry_Int_Tables_number 1
loop_
_symmetry_equiv_pos_as_xyz
'x,y,z'
loop_
_atom_site_label
_atom_site_fract_x
_atom_site_fract_y
_atom_site_fract_z
Hf1 0.500 0.500 0.500
Zr1 0.000 0.000 0.000
Co1 0.750 0.750 0.750
Co2 0.250 0.250 0.250

6.
# Ho2Co17 PBE-GGA optimized geometry
# - Calculated total energy: -6.94 eV per atom
# - Volume: 239.7 Å³ per cell
# - Calculated formation energy: -0.10 eV per atom
data_Ho2Co17
_cell_length_a 6.259
_cell_length_b 6.259
_cell_length_c 6.259
_cell_angle_alpha 82.75
_cell_angle_beta 82.75
_cell_angle_gamma 82.75
_symmetry_space_group_name_H-M 'P 1'
_symmetry_Int_Tables_number 1
loop_
_symmetry_equiv_pos_as_xyz
'x,y,z'
loop_
_atom_site_label
_atom_site_fract_x
_atom_site_fract_y
_atom_site_fract_z
Ho1 0.656 0.656 0.656
Ho2 0.344 0.344 0.344
Co1 0.000 0.000 0.500
Co2 0.000 0.500 0.000
Co3 0.500 0.000 0.000
Co4 0.289 0.711 0.000
Co5 0.711 0.000 0.289
Co6 0.000 0.289 0.711
Co7 0.289 0.000 0.711
Co8 0.000 0.711 0.289
Co9 0.711 0.289 0.000
Co10 0.346 0.346 0.850
Co11 0.346 0.850 0.346
Co12 0.850 0.346 0.346
Co13 0.654 0.654 0.150
Co14 0.654 0.150 0.654
Co15 0.150 0.654 0.654
Co16 0.903 0.903 0.903
Co17 0.097 0.097 0.097